A plane-wave DFT calculation with PBE+U was carried out for LiY5Mo2O12 after structural relaxation.

formation energy: -3.213 eV per atom
SG: P1
magnetic moment: 4.001 μB/cell
final energy: -8.2457 eV/atom

Geometry as POSCAR:
```
LiY5Mo2O12
1.0
-0.5083 -4.7111 -3.6858
4.6999 -0.6600 5.0846
-6.4875 -1.7440 3.1280
O Y Mo Li
12 5 2 1
direct
0.5008 0.0021 0.7978 O
0.0047 0.0094 0.2034 O
0.0593 0.6643 0.9107 O
0.5931 0.6905 0.4248 O
0.0034 0.0074 0.8107 O
0.6043 0.6643 0.9107 O
0.4114 0.3105 0.5813 O
0.0978 0.6909 0.4249 O
0.4957 0.9916 0.1843 O
0.4170 0.3374 0.0740 O
0.9204 0.3376 0.0743 O
0.8998 0.3107 0.5804 O
0.8068 0.6135 0.6360 Y
0.1966 0.3944 0.8312 Y
0.4964 0.9924 0.4922 Y
0.8204 0.6406 0.1876 Y
0.1964 0.3930 0.3605 Y
0.7454 0.9985 0.9996 Mo
0.2528 0.9985 0.9996 Mo
0.6544 0.3135 0.8642 Li
```

=====

A plane-wave DFT calculation with PBE+U was carried out for CdFeO3 after structural relaxation.

formation energy: -1.323 eV per atom
SG: P2_1/m
magnetic moment: 15.999 μB/cell
final energy: -5.3074 eV/atom

Geometry as POSCAR:
```
CdFeO3
1.0
5.3630 -0.0025 -0.0007
-0.0025 5.4502 -0.0001
-0.0010 -0.0002 7.6697
Fe O Cd
4 12 4
direct
0.5000 0.0000 0.0000 Fe
0.0000 0.5000 0.5000 Fe
0.5000 0.0000 0.5000 Fe
0.0000 0.5000 0.0000 Fe
0.9080 0.5315 0.7500 O
0.7027 0.2955 0.4518 O
0.2006 0.2067 0.9518 O
0.5908 0.0312 0.7500 O
0.7994 0.7933 0.0482 O
0.0920 0.4685 0.2500 O
0.7023 0.2952 0.0482 O
0.4092 0.9688 0.2500 O
0.7998 0.7930 0.4518 O
0.2002 0.2070 0.5482 O
0.2973 0.7045 0.5482 O
0.2977 0.7048 0.9518 O
0.0093 0.9577 0.7500 Cd
0.9907 0.0423 0.2500 Cd
0.5094 0.5424 0.2500 Cd
0.4906 0.4576 0.7500 Cd
```

=====

A plane-wave DFT calculation with PBE+U was carried out for MgWF4 after structural relaxation.

formation energy: -2.621 eV per atom
SG: Ibam
magnetic moment: 8.000 μB/cell
final energy: -5.2765 eV/atom

Geometry as POSCAR:
```
MgWF4
1.0
-3.7069 4.5685 3.4323
0.8302 6.1642 -2.7760
-1.9496 -6.1633 -2.1461
F Mg W
8 2 2
direct
0.9944 0.6156 0.8936 F
0.5056 0.3992 0.6212 F
0.2780 0.8992 0.8936 F
0.7780 0.8844 0.3788 F
0.0056 0.3844 0.1064 F
0.2220 0.1156 0.6212 F
0.7220 0.1008 0.1064 F
0.4944 0.6008 0.3788 F
0.2500 0.7500 0.5000 Mg
0.7500 0.2500 0.5000 Mg
0.5000 0.5000 0.0000 W
0.0000 0.0000 0.0000 W
```

=====

A plane-wave DFT calculation with PBE+U was carried out for Ta2Zn2CoO8 after structural relaxation.

formation energy: -2.544 eV per atom
SG: P1
magnetic moment: 0.000 μB/cell
final energy: -7.6051 eV/atom

Geometry as POSCAR:
```
Ta2Zn2CoO8
1.0
6.5003 1.6246 -4.2834
-2.5341 9.0405 3.7291
5.2799 -2.6370 5.3141
O Ta Co Zn
32 8 4 8
direct
0.9224 0.1152 0.5088 O
0.3429 0.3858 0.2003 O
0.5765 0.6454 0.1437 O
0.0570 0.1375 0.1267 O
0.1574 0.6129 0.2980 O
0.2965 0.1166 0.3836 O
0.0765 0.6454 0.6439 O
0.1916 0.1370 0.7606 O
0.4240 0.3533 0.8543 O
0.0780 0.8833 0.4886 O
0.6576 0.6134 0.7979 O
0.5568 0.1367 0.6256 O
0.7418 0.3855 0.0994 O
0.8426 0.3855 0.7004 O
0.7975 0.1151 0.8836 O
0.8088 0.8618 0.2379 O
0.4429 0.8614 0.3707 O
0.2585 0.6134 0.8988 O
0.5785 0.8841 0.9891 O
0.5714 0.3532 0.5019 O
0.2419 0.3857 0.5995 O
0.4292 0.6459 0.4965 O
0.0712 0.3531 0.0016 O
0.3084 0.8620 0.7376 O
0.9288 0.6456 0.9962 O
0.6917 0.1368 0.2602 O
0.9238 0.3535 0.3545 O
0.9432 0.8620 0.8722 O
0.4214 0.1148 0.0100 O
0.7026 0.8838 0.6141 O
0.2019 0.8824 0.1150 O
0.7586 0.6134 0.3988 O
0.2313 0.7712 0.4973 Ta
0.3621 0.2274 0.5937 Ta
0.7692 0.2275 0.5004 Ta
0.8619 0.2271 0.0935 Ta
0.2688 0.2277 0.0008 Ta
0.1381 0.7715 0.9045 Ta
0.6383 0.7715 0.4044 Ta
0.7311 0.7714 0.9976 Ta
0.0548 0.9991 0.3024 Co
0.5545 0.9994 0.8033 Co
0.4448 0.9996 0.1961 Co
0.9454 0.9995 0.6946 Co
0.1672 0.4350 0.3958 Zn
0.3331 0.5639 0.1025 Zn
0.0711 0.4358 0.7996 Zn
0.4291 0.5631 0.6985 Zn
0.9291 0.5632 0.1985 Zn
0.5712 0.4356 0.2996 Zn
0.8331 0.5637 0.6025 Zn
0.6672 0.4352 0.8958 Zn
```

=====

A plane-wave DFT calculation with PBE+U was carried out for La2MgCo2Sb2Pb2O12 after structural relaxation.

formation energy: -2.094 eV per atom
SG: P1
magnetic moment: 4.002 μB/cell
final energy: -6.3431 eV/atom

Geometry as POSCAR:
```
La2MgCo2Sb2Pb2O12
1.0
-0.1187 2.1176 5.4202
1.4592 -5.1400 2.4593
8.4703 2.4511 0.1901
Mg O Sb La Pb Co
1 12 2 2 2 2
direct
0.2104 0.0404 0.9164 Mg
0.1642 0.5886 0.7929 O
0.8946 0.4649 0.2212 O
0.6038 0.9646 0.2730 O
0.2655 0.2835 0.4275 O
0.6544 0.7226 0.5530 O
0.1932 0.8262 0.4575 O
0.7421 0.2065 0.5200 O
0.3828 0.0783 0.7164 O
0.1607 0.8034 0.0744 O
0.8833 0.2280 0.9312 O
0.3039 0.3107 0.0284 O
0.7161 0.6901 0.9507 O
0.4663 0.0166 0.4917 Sb
0.0139 0.5251 0.0030 Sb
0.0004 0.0714 0.2745 La
0.5477 0.4455 0.7585 La
0.9307 0.9053 0.6809 Pb
0.4705 0.5500 0.2415 Pb
0.9696 0.5067 0.4667 Co
0.6519 0.0113 0.0375 Co
```

=====

The lowest formation energy belongs to which entry?
LiY5Mo2O12